[1]
This record from the Materials Project database describes crystalline Sr2As2O7 at its relaxed geometry. The functional is PBE.

a = 7.2489 Å, b = 7.2489 Å, c = 26.1195 Å
α = 90.00°, β = 90.00°, γ = 90.00°
Element x y z (fractional)
Sr (0.0267, 0.3465, 0.0000)
Sr (0.1535, 0.3956, 0.3558)
Sr (0.2274, 0.7330, 0.1035)
Sr (0.2581, 0.6234, 0.7412)
Sr (0.2670, 0.2274, 0.8535)
Sr (0.3465, 0.9733, 0.2500)
Sr (0.3766, 0.2581, 0.4912)
Sr (0.3956, 0.8465, 0.6058)
Sr (0.6044, 0.1535, 0.1058)
Sr (0.6234, 0.7419, 0.9912)
Sr (0.6535, 0.0267, 0.7500)
Sr (0.7330, 0.7726, 0.3535)
Sr (0.7419, 0.3766, 0.2412)
Sr (0.7726, 0.2670, 0.6035)
Sr (0.8465, 0.6044, 0.8558)
Sr (0.9733, 0.6535, 0.5000)
As (0.1051, 0.8127, 0.9683)
As (0.1457, 0.2338, 0.1235)
As (0.1873, 0.1051, 0.7183)
As (0.2215, 0.4821, 0.2257)
As (0.2338, 0.8543, 0.3735)
As (0.2498, 0.3551, 0.6168)
As (0.3551, 0.7502, 0.8668)
As (0.4821, 0.7785, 0.4757)
As (0.5179, 0.2215, 0.9757)
As (0.6449, 0.2498, 0.3668)
As (0.7502, 0.6449, 0.1168)
As (0.7662, 0.1457, 0.8735)
As (0.7785, 0.5179, 0.7257)
As (0.8127, 0.8949, 0.2183)
As (0.8543, 0.7662, 0.6235)
As (0.8949, 0.1873, 0.4683)
O (0.0003, 0.0015, 0.7430)
O (0.9997, 0.9985, 0.2430)
O (0.0015, 0.9997, 0.9930)
O (0.0522, 0.8313, 0.5946)
O (0.0537, 0.5144, 0.2702)
O (0.0560, 0.7174, 0.3941)
O (0.0569, 0.3442, 0.4480)
O (0.0752, 0.3676, 0.1785)
O (0.0920, 0.3886, 0.5693)
O (0.1074, 0.2252, 0.6609)
O (0.1687, 0.0522, 0.3446)
O (0.2153, 0.5792, 0.8436)
O (0.2252, 0.8926, 0.9109)
O (0.2634, 0.7004, 0.0053)
O (0.2730, 0.3783, 0.0856)
O (0.2826, 0.0560, 0.1441)
O (0.2996, 0.2634, 0.7553)
O (0.3024, 0.6756, 0.1972)
O (0.3244, 0.3024, 0.9472)
O (0.3296, 0.5427, 0.6484)
O (0.3324, 0.6158, 0.4980)
O (0.3442, 0.9431, 0.6980)
O (0.3676, 0.9248, 0.4285)
O (0.3783, 0.7270, 0.3356)
O (0.3842, 0.3324, 0.2480)
O (0.3886, 0.9080, 0.8193)
O (0.4208, 0.2153, 0.5936)
O (0.4573, 0.3296, 0.3984)
O (0.4856, 0.0537, 0.0202)
O (0.5144, 0.9463, 0.5202)
O (0.5427, 0.6704, 0.8984)
O (0.5792, 0.7847, 0.0936)
O (0.6114, 0.0920, 0.3193)
O (0.6158, 0.6676, 0.7480)
O (0.6217, 0.2730, 0.8356)
O (0.6324, 0.0752, 0.9285)
O (0.6558, 0.0569, 0.1980)
O (0.6676, 0.3842, 0.9980)
O (0.6704, 0.4573, 0.1484)
O (0.6756, 0.6976, 0.4472)
O (0.6976, 0.3244, 0.6972)
O (0.7004, 0.7366, 0.2553)
O (0.7174, 0.9440, 0.6441)
O (0.7270, 0.6217, 0.5856)
O (0.7366, 0.2996, 0.5053)
O (0.7748, 0.1074, 0.4109)
O (0.7847, 0.4208, 0.3436)
O (0.8313, 0.9478, 0.8446)
O (0.8926, 0.7748, 0.1609)
O (0.9080, 0.6114, 0.0693)
O (0.9248, 0.6324, 0.6785)
O (0.9431, 0.6558, 0.9480)
O (0.9440, 0.2826, 0.8941)
O (0.9463, 0.4856, 0.7702)
O (0.9478, 0.1687, 0.0946)
O (0.9985, 0.0003, 0.4930)

Summary:
Energy of formation (eV/f.u.): -27.74
Crystal system: tetragonal

---

[2]
This record from the Materials Project database describes crystalline YAl3B4O12 at its relaxed geometry. The functional is PBE.

a = 5.9306 Å, b = 5.9306 Å, c = 5.9306 Å
α = 104.28°, β = 104.28°, γ = 104.28°
Element x y z (fractional)
Y (0.0000, 0.0000, 0.0000)
Al (0.0000, 0.4448, 0.5552)
Al (0.4448, 0.5552, 0.0000)
Al (0.5552, 0.0000, 0.4448)
B (0.0565, 0.9435, 0.5000)
B (0.5000, 0.0565, 0.9435)
B (0.5000, 0.5000, 0.5000)
B (0.9435, 0.5000, 0.0565)
O (0.0282, 0.7793, 0.6277)
O (0.0918, 0.5000, 0.9082)
O (0.2207, 0.9718, 0.3723)
O (0.3514, 0.5000, 0.6486)
O (0.3723, 0.2207, 0.9718)
O (0.5000, 0.6486, 0.3514)
O (0.5000, 0.9082, 0.0918)
O (0.6277, 0.0282, 0.7793)
O (0.6486, 0.3514, 0.5000)
O (0.7793, 0.6277, 0.0282)
O (0.9082, 0.0918, 0.5000)
O (0.9718, 0.3723, 0.2207)

Summary:
Piezoelectric modulus e_max (C/m²): 1.65
Spin magnetization (μB per formula unit): 0.0
Energy of formation (eV/f.u.): -64.92
Crystal system: trigonal

---

[3]
This record from the Materials Project database describes crystalline Ti3Ge at its relaxed geometry. The functional is PBE.

a = 7.6686 Å, b = 7.6686 Å, c = 7.6686 Å
α = 96.45°, β = 96.45°, γ = 140.85°
Element x y z (fractional)
Ti (0.0752, 0.0459, 0.5971)
Ti (0.1283, 0.4589, 0.6199)
Ti (0.1781, 0.3662, 0.9777)
Ti (0.3885, 0.2004, 0.0223)
Ti (0.4488, 0.4781, 0.4029)
Ti (0.4915, 0.8717, 0.3306)
Ti (0.5219, 0.9248, 0.9706)
Ti (0.5411, 0.1610, 0.6694)
Ti (0.6338, 0.6115, 0.8119)
Ti (0.7996, 0.8219, 0.1881)
Ti (0.8390, 0.5085, 0.3801)
Ti (0.9541, 0.5512, 0.0294)
Ge (0.0552, 0.7307, 0.7422)
Ge (0.2693, 0.0116, 0.3245)
Ge (0.6871, 0.9448, 0.6755)
Ge (0.9884, 0.3129, 0.2578)

Summary:
Energy of formation (eV/f.u.): -1.78
Crystal system: tetragonal

---

[4]
This record from the Materials Project database describes crystalline Mg14CdMo at its relaxed geometry. The functional is PBE.

a = 6.3043 Å, b = 6.3043 Å, c = 9.9624 Å
α = 90.00°, β = 90.00°, γ = 120.00°
Element x y z (fractional)
Mg (0.0000, 0.0000, 0.2491)
Mg (0.0000, 0.0000, 0.7509)
Mg (0.0129, 0.5065, 0.2429)
Mg (0.0129, 0.5065, 0.7571)
Mg (0.3343, 0.1672, 0.0000)
Mg (0.3336, 0.1668, 0.5000)
Mg (0.4935, 0.5065, 0.2429)
Mg (0.4935, 0.5065, 0.7571)
Mg (0.4935, 0.9871, 0.2429)
Mg (0.4935, 0.9871, 0.7571)
Mg (0.8328, 0.1672, 0.0000)
Mg (0.8332, 0.1668, 0.5000)
Mg (0.8328, 0.6657, 0.0000)
Mg (0.8332, 0.6664, 0.5000)
Cd (0.3333, 0.6667, 0.5000)
Mo (0.3333, 0.6667, 0.0000)

Summary:
Spin magnetization (μB per formula unit): 0.0
Energy of formation (eV/f.u.): 1.26
Energy above the lowest structure with this stoichiometry (eV per atom): 0.0000
Crystal system: hexagonal

---

[5]
This record from the Materials Project database describes crystalline SmNi2As2 at its relaxed geometry. The functional is PBE.

a = 4.1869 Å, b = 4.1869 Å, c = 9.4310 Å
α = 90.00°, β = 90.00°, γ = 90.00°
Element x y z (fractional)
Sm (0.2500, 0.2500, 0.2487)
Sm (0.7500, 0.7500, 0.7513)
Ni (0.2500, 0.2500, 0.6215)
Ni (0.2500, 0.7500, 0.0000)
Ni (0.7500, 0.2500, 0.0000)
Ni (0.7500, 0.7500, 0.3785)
As (0.2500, 0.2500, 0.8711)
As (0.2500, 0.7500, 0.5000)
As (0.7500, 0.2500, 0.5000)
As (0.7500, 0.7500, 0.1289)

Summary:
Energy of formation (eV/f.u.): -4.10
Crystal system: tetragonal

---

[6]
This record from the Materials Project database describes crystalline VCoGe at its relaxed geometry. The functional is PBE.

a = 6.0606 Å, b = 3.6612 Å, c = 6.9901 Å
α = 90.00°, β = 90.00°, γ = 90.00°
Element x y z (fractional)
V (0.0278, 0.2500, 0.1794)
V (0.4722, 0.7500, 0.6794)
V (0.5278, 0.2500, 0.3206)
V (0.9722, 0.7500, 0.8206)
Co (0.1416, 0.2500, 0.5579)
Co (0.3584, 0.7500, 0.0579)
Co (0.6416, 0.2500, 0.9421)
Co (0.8584, 0.7500, 0.4421)
Ge (0.2382, 0.7500, 0.3739)
Ge (0.2618, 0.2500, 0.8739)
Ge (0.7382, 0.7500, 0.1261)
Ge (0.7618, 0.2500, 0.6261)

Summary:
Spin magnetization (μB per formula unit): 0.0
Energy of formation (eV/f.u.): -0.93
Crystal system: orthorhombic